First-principles (PBE+U) data for a relaxed Co2OF3 crystal, as listed in Materials Project.

Cell lengths 15.9012, 6.8079, 6.4143 Å; angles 90.00, 90.00, 90.00 degrees
Closest atoms and distances in Å follow each position.
Space group Amm2 (No. 38)
Inequivalent atoms, fractional coordinates:
Co  0.0000  0.0000  0.0000 x2  2 O 1.99, 4 F 2.08-2.16
Co  0.1002  0.0000  0.4559 x4  1 O 1.78
Co  0.2000  0.0000  0.9800 x4  2 O 2.01, 4 F 2.08-2.11
Co  0.2999  0.0000  0.5045 x4  1 O 1.78
Co  0.3999  0.0000  0.9606 x4  2 O 1.98-1.99, 4 F 2.08-2.15
Co  0.5000  0.0000  0.4976 x2  1 O 1.79, 1 F 2.00
O  0.1021  0.0000  0.1782 x4  2 Co 1.78-1.99
O  0.2978  0.0000  0.7821 x4  2 Co 1.78-1.99
O  0.5000  0.0000  0.7764 x2  3 Co 1.79-1.98
F  0.0000  0.1946  0.4805 x4  3 Co 2.08
F  0.0984  0.0000  0.7689 x4  3 Co 2.01-2.16
F  0.2000  0.1942  0.4802 x8  3 Co 2.07-2.08
F  0.3017  0.0000  0.1913 x4  3 Co 2.01-2.15
F  0.3998  0.1947  0.4782 x8  3 Co 2.08
F  0.5000  0.0000  0.1864 x2  3 Co 2.00-2.15

- E_form: -1.96 eV per atom